Entry 1:
{"formula": "DyNbO4", "functional": "PBE", "state": "relaxed", "spacegroup": "I4_1", "lattice": [[-1.317, -6.341, -1.668], [-2.210, -3.606, 5.181], [-1.731, 5.918, -2.590]], "species": ["Dy", "Dy", "Nb", "Nb", "O", "O", "O", "O", "O", "O", "O", "O"], "frac_coords": [[0.000, 0.000, 0.000], [0.750, 0.250, 0.500], [0.494, 0.494, 0.000], [0.244, 0.744, 0.500], [0.987, 0.407, 0.077], [0.330, 0.910, 0.923], [0.763, 0.843, 0.423], [0.420, 0.340, 0.577], [0.660, 0.237, 0.080], [0.157, 0.580, 0.920], [0.090, 0.013, 0.420], [0.593, 0.670, 0.580]]}

Entry 2:
{"formula": "NaZrInSiS2O12", "functional": "PBE", "state": "relaxed", "spacegroup": "Cc", "lattice": [[-3.489, -0.845, 8.199], [3.858, -7.083, -3.974], [20.793, 5.842, 9.451]], "species": ["Na", "Na", "Na", "Na", "Na", "Na", "Zr", "Zr", "Zr", "Zr", "Zr", "Zr", "In", "In", "In", "In", "In", "In", "Si", "Si", "Si", "Si", "Si", "Si", "S", "S", "S", "S", "S", "S", "S", "S", "S", "S", "S", "S", "O", "O", "O", "O", "O", "O", "O", "O", "O", "O", "O", "O", "O", "O", "O", "O", "O", "O", "O", "O", "O", "O", "O", "O", "O", "O", "O", "O", "O", "O", "O", "O", "O", "O", "O", "O", "O", "O", "O", "O", "O", "O", "O", "O", "O", "O", "O", "O", "O", "O", "O", "O", "O", "O", "O", "O", "O", "O", "O", "O", "O", "O", "O", "O", "O", "O", "O", "O", "O", "O", "O", "O"], "frac_coords": [[0.021, 0.012, 0.504], [0.991, 0.012, 0.004], [0.686, 0.331, 0.836], [0.645, 0.331, 0.336], [0.341, 0.688, 0.170], [0.347, 0.688, 0.670], [0.020, 0.014, 0.354], [0.994, 0.014, 0.854], [0.657, 0.311, 0.686], [0.653, 0.311, 0.186], [0.333, 0.666, 0.020], [0.333, 0.666, 0.520], [0.997, 0.997, 0.649], [0.000, 0.997, 0.149], [0.683, 0.326, 0.982], [0.643, 0.326, 0.482], [0.337, 0.671, 0.315], [0.334, 0.671, 0.815], [0.288, 0.991, 0.249], [0.702, 0.991, 0.749], [0.362, 0.034, 0.584], [0.671, 0.034, 0.084], [0.043, 0.382, 0.915], [0.339, 0.382, 0.415], [0.708, 0.706, 0.250], [0.001, 0.294, 0.250], [0.293, 0.294, 0.750], [0.998, 0.706, 0.750], [0.956, 0.334, 0.582], [0.669, 0.626, 0.583], [0.957, 0.626, 0.083], [0.378, 0.334, 0.082], [0.627, 0.663, 0.917], [0.333, 0.961, 0.917], [0.629, 0.961, 0.417], [0.036, 0.663, 0.417], [0.197, 0.021, 0.305], [0.813, 0.792, 0.301], [0.971, 0.184, 0.301], [0.213, 0.184, 0.801], [0.979, 0.792, 0.801], [0.824, 0.021, 0.805], [0.788, 0.968, 0.692], [0.193, 0.216, 0.698], [0.027, 0.809, 0.698], [0.782, 0.809, 0.198], [0.023, 0.216, 0.198], [0.179, 0.968, 0.192], [0.874, 0.359, 0.633], [0.488, 0.129, 0.640], [0.646, 0.520, 0.634], [0.874, 0.520, 0.134], [0.641, 0.129, 0.140], [0.485, 0.359, 0.133], [0.461, 0.316, 0.030], [0.854, 0.552, 0.032], [0.700, 0.146, 0.027], [0.446, 0.146, 0.527], [0.698, 0.552, 0.532], [0.855, 0.316, 0.530], [0.546, 0.695, 0.968], [0.162, 0.475, 0.972], [0.313, 0.854, 0.968], [0.541, 0.854, 0.468], [0.313, 0.475, 0.472], [0.149, 0.695, 0.468], [0.113, 0.641, 0.366], [0.524, 0.891, 0.365], [0.358, 0.490, 0.358], [0.132, 0.490, 0.858], [0.367, 0.891, 0.865], [0.528, 0.641, 0.866], [0.015, 0.818, 0.412], [0.797, 0.967, 0.411], [0.161, 0.188, 0.411], [0.028, 0.188, 0.911], [0.170, 0.967, 0.911], [0.803, 0.818, 0.912], [0.976, 0.182, 0.587], [0.172, 0.014, 0.591], [0.817, 0.800, 0.587], [0.984, 0.800, 0.087], [0.841, 0.014, 0.091], [0.206, 0.182, 0.087], [0.691, 0.170, 0.744], [0.469, 0.313, 0.745], [0.838, 0.536, 0.745], [0.698, 0.536, 0.245], [0.844, 0.313, 0.245], [0.479, 0.170, 0.244], [0.642, 0.509, 0.926], [0.851, 0.359, 0.918], [0.479, 0.138, 0.923], [0.659, 0.138, 0.423], [0.508, 0.359, 0.418], [0.867, 0.509, 0.426], [0.362, 0.492, 0.078], [0.130, 0.637, 0.078], [0.494, 0.844, 0.077], [0.350, 0.844, 0.577], [0.507, 0.637, 0.578], [0.130, 0.492, 0.578], [0.316, 0.826, 0.256], [0.532, 0.682, 0.255], [0.153, 0.465, 0.255], [0.312, 0.465, 0.755], [0.150, 0.682, 0.755], [0.510, 0.826, 0.756]]}

Entry 3:
{"formula": "Mn2Sb2PtAu", "functional": "PBE", "state": "relaxed", "spacegroup": "R3m", "lattice": [[-2.229, -7.461, -0.203], [1.103, -7.027, -3.174], [2.032, -7.424, 1.196]], "species": ["Mn", "Mn", "Sb", "Sb", "Pt", "Au"], "frac_coords": [[0.747, 0.747, 0.747], [0.252, 0.252, 0.252], [0.997, 0.997, 0.997], [0.504, 0.504, 0.504], [0.626, 0.626, 0.626], [0.124, 0.124, 0.124]]}

Entry 4:
{"formula": "CdN4Cl6", "functional": "PBE", "state": "relaxed", "spacegroup": "R-3c", "polymorph_energy_ev_per_atom": 0.014, "lattice": [[5.452, -8.248, 0.000], [5.452, 8.248, 0.000], [-7.025, 0.000, 6.958]], "species": ["Cd", "Cd", "N", "N", "N", "N", "N", "N", "N", "N", "Cl", "Cl", "Cl", "Cl", "Cl", "Cl", "Cl", "Cl", "Cl", "Cl", "Cl", "Cl"], "frac_coords": [[0.500, 0.500, 0.500], [0.000, 0.000, 0.000], [0.250, 0.250, 0.250], [0.750, 0.750, 0.750], [0.990, 0.510, 0.250], [0.250, 0.990, 0.510], [0.510, 0.250, 0.990], [0.750, 0.010, 0.490], [0.490, 0.750, 0.010], [0.010, 0.490, 0.750], [0.453, 0.172, 0.576], [0.576, 0.453, 0.172], [0.172, 0.576, 0.453], [0.076, 0.672, 0.953], [0.953, 0.076, 0.672], [0.672, 0.953, 0.076], [0.547, 0.828, 0.424], [0.424, 0.547, 0.828], [0.828, 0.424, 0.547], [0.924, 0.328, 0.047], [0.047, 0.924, 0.328], [0.328, 0.047, 0.924]]}

Entry 5:
{"formula": "Fe5SiC", "functional": "PBE", "state": "relaxed", "spacegroup": "Cmc2_1", "lattice": [[3.417, 1.701, 5.082], [-5.738, 2.400, 1.309], [-1.876, -6.327, 3.379]], "species": ["Fe", "Fe", "Fe", "Fe", "Fe", "Fe", "Fe", "Fe", "Fe", "Fe", "Fe", "Fe", "Fe", "Fe", "Fe", "Fe", "Fe", "Fe", "Fe", "Fe", "Si", "Si", "Si", "Si", "C", "C", "C", "C"], "frac_coords": [[0.934, 0.693, 0.013], [0.066, 0.307, 0.513], [0.307, 0.066, 0.513], [0.693, 0.934, 0.013], [0.878, 0.127, 0.262], [0.122, 0.873, 0.762], [0.873, 0.122, 0.762], [0.127, 0.878, 0.262], [0.152, 0.152, 0.012], [0.848, 0.848, 0.512], [0.810, 0.514, 0.322], [0.190, 0.486, 0.822], [0.486, 0.190, 0.822], [0.514, 0.810, 0.322], [0.194, 0.488, 0.201], [0.806, 0.512, 0.701], [0.512, 0.806, 0.701], [0.488, 0.194, 0.201], [0.533, 0.533, 0.004], [0.467, 0.467, 0.504], [0.821, 0.327, 0.012], [0.179, 0.673, 0.512], [0.673, 0.179, 0.512], [0.327, 0.821, 0.012], [0.189, 0.189, 0.726], [0.811, 0.811, 0.226], [0.194, 0.194, 0.301], [0.806, 0.806, 0.801]]}

Entry 6:
{"formula": "Np2Re3Si5", "functional": "PBE", "state": "relaxed", "spacegroup": "P4/mnc", "lattice": [[-9.746, 5.106, 0.195], [-4.365, -8.100, -6.035], [-1.326, -2.708, 4.593]], "species": ["Np", "Np", "Np", "Np", "Np", "Np", "Np", "Np", "Re", "Re", "Re", "Re", "Re", "Re", "Re", "Re", "Re", "Re", "Re", "Re", "Si", "Si", "Si", "Si", "Si", "Si", "Si", "Si", "Si", "Si", "Si", "Si", "Si", "Si", "Si", "Si", "Si", "Si", "Si", "Si"], "frac_coords": [[0.575, 0.736, 0.500], [0.425, 0.264, 0.500], [0.075, 0.764, 0.000], [0.925, 0.236, 0.000], [0.264, 0.575, 0.500], [0.736, 0.425, 0.500], [0.236, 0.075, 0.000], [0.764, 0.925, 0.000], [0.877, 0.858, 0.500], [0.123, 0.142, 0.500], [0.377, 0.642, 0.000], [0.623, 0.358, 0.000], [0.142, 0.877, 0.500], [0.858, 0.123, 0.500], [0.358, 0.377, 0.000], [0.642, 0.623, 0.000], [0.500, 0.000, 0.250], [0.000, 0.500, 0.750], [0.000, 0.500, 0.250], [0.500, 0.000, 0.750], [0.675, 0.175, 0.250], [0.325, 0.825, 0.250], [0.175, 0.325, 0.750], [0.825, 0.675, 0.750], [0.825, 0.675, 0.250], [0.175, 0.325, 0.250], [0.675, 0.175, 0.750], [0.325, 0.825, 0.750], [0.500, 0.500, 0.270], [0.000, 0.000, 0.770], [0.500, 0.500, 0.730], [0.000, 0.000, 0.230], [0.685, 0.973, 0.500], [0.315, 0.027, 0.500], [0.185, 0.527, 0.000], [0.815, 0.473, 0.000], [0.027, 0.685, 0.500], [0.973, 0.315, 0.500], [0.473, 0.185, 0.000], [0.527, 0.815, 0.000]]}

Entry 7:
{"formula": "K2GaHgI6", "functional": "PBE", "state": "relaxed", "spacegroup": "Fm-3m", "lattice": [[0.150, -6.962, -4.698], [-7.105, -2.937, -3.385], [-1.222, 0.504, -8.295]], "species": ["K", "K", "Ga", "Hg", "I", "I", "I", "I", "I", "I"], "frac_coords": [[0.750, 0.750, 0.750], [0.250, 0.250, 0.250], [0.000, 0.000, 0.000], [0.500, 0.500, 0.500], [0.758, 0.242, 0.242], [0.242, 0.242, 0.758], [0.242, 0.758, 0.758], [0.242, 0.758, 0.242], [0.758, 0.242, 0.758], [0.758, 0.758, 0.242]]}

Entry 8:
{"formula": "W", "functional": "PBE", "state": "relaxed", "spacegroup": "Pbcm", "polymorph_energy_ev_per_atom": 0.491, "lattice": [[2.810, 0.000, 0.000], [0.000, 4.864, 0.000], [0.000, 0.000, 4.924]], "species": ["W", "W", "W", "W"], "frac_coords": [[0.793, 0.563, 0.250], [0.207, 0.063, 0.250], [0.207, 0.437, 0.750], [0.793, 0.937, 0.750]]}

Entry 9:
{"formula": "NaGaH4", "functional": "PBE", "state": "relaxed", "spacegroup": "Cmcm", "lattice": [[2.485, 0.140, 4.127], [-2.912, -3.571, 1.413], [4.574, -4.756, -2.593]], "species": ["Na", "Na", "Ga", "Ga", "H", "H", "H", "H", "H", "H", "H", "H"], "frac_coords": [[0.338, 0.338, 0.250], [0.662, 0.662, 0.750], [0.832, 0.832, 0.250], [0.168, 0.168, 0.750], [0.843, 0.208, 0.750], [0.157, 0.792, 0.250], [0.208, 0.843, 0.750], [0.792, 0.157, 0.250], [0.685, 0.685, 0.430], [0.315, 0.315, 0.930], [0.685, 0.685, 0.070], [0.315, 0.315, 0.570]]}

Entry 10:
{"formula": "Ac2TlIn", "functional": "PBE", "state": "relaxed", "spacegroup": "Fm-3m", "lattice": [[-4.234, 0.028, 4.038], [-3.368, 4.736, 0.674], [-5.613, -0.143, -1.645]], "species": ["Ac", "Ac", "Tl", "In"], "frac_coords": [[0.750, 0.750, 0.750], [0.250, 0.250, 0.250], [0.000, 0.000, 0.000], [0.500, 0.500, 0.500]]}

Entry 11:
{"formula": "BaNa2O2", "functional": "PBE", "state": "relaxed", "spacegroup": "P2_1/c", "polymorph_energy_ev_per_atom": 0.027, "lattice": [[6.973, 0.000, 0.000], [0.000, 6.672, 0.000], [0.000, 1.192, 8.336]], "species": ["Ba", "Ba", "Ba", "Ba", "Na", "Na", "Na", "Na", "Na", "Na", "Na", "Na", "O", "O", "O", "O", "O", "O", "O", "O"], "frac_coords": [[0.408, 0.092, 0.697], [0.092, 0.592, 0.697], [0.908, 0.408, 0.303], [0.592, 0.908, 0.303], [0.358, 0.353, 0.052], [0.142, 0.853, 0.052], [0.867, 0.042, 0.621], [0.633, 0.542, 0.621], [0.367, 0.458, 0.379], [0.133, 0.958, 0.379], [0.858, 0.147, 0.948], [0.642, 0.647, 0.948], [0.595, 0.333, 0.863], [0.905, 0.833, 0.863], [0.121, 0.266, 0.544], [0.379, 0.766, 0.544], [0.621, 0.234, 0.456], [0.879, 0.734, 0.456], [0.095, 0.167, 0.137], [0.405, 0.667, 0.137]]}

Entry 12:
{"formula": "Ca7Si6H4CO23", "functional": "PBE", "state": "relaxed", "spacegroup": "Cm", "lattice": [[7.672, 5.556, 0.000], [-7.672, 5.556, 0.000], [0.000, 2.869, 6.047]], "species": ["Ca", "Ca", "Ca", "Ca", "Ca", "Ca", "Ca", "Si", "Si", "Si", "Si", "Si", "Si", "H", "H", "H", "H", "C", "O", "O", "O", "O", "O", "O", "O", "O", "O", "O", "O", "O", "O", "O", "O", "O", "O", "O", "O", "O", "O", "O", "O"], "frac_coords": [[0.998, 0.998, 0.540], [0.327, 0.057, 0.999], [0.057, 0.327, 0.999], [0.239, 0.739, 0.514], [0.739, 0.239, 0.514], [0.917, 0.625, 0.026], [0.625, 0.917, 0.026], [0.820, 0.612, 0.579], [0.612, 0.820, 0.579], [0.663, 0.310, 0.016], [0.310, 0.663, 0.016], [0.370, 0.160, 0.444], [0.160, 0.370, 0.444], [0.336, 0.336, 0.707], [0.429, 0.429, 0.835], [0.661, 0.661, 0.296], [0.572, 0.572, 0.158], [0.001, 0.001, 0.001], [0.969, 0.727, 0.620], [0.727, 0.969, 0.620], [0.717, 0.717, 0.498], [0.699, 0.480, 0.827], [0.480, 0.699, 0.827], [0.851, 0.525, 0.405], [0.525, 0.851, 0.405], [0.808, 0.336, 0.111], [0.336, 0.808, 0.111], [0.620, 0.166, 0.922], [0.166, 0.620, 0.922], [0.503, 0.295, 0.205], [0.295, 0.503, 0.205], [0.454, 0.128, 0.622], [0.128, 0.454, 0.622], [0.264, 0.011, 0.394], [0.011, 0.264, 0.394], [0.247, 0.247, 0.532], [0.051, 0.904, 0.929], [0.904, 0.051, 0.929], [0.058, 0.058, 0.136], [0.336, 0.336, 0.855], [0.664, 0.664, 0.144]]}

Values of E, in order: -0.6504, -0.4982, -0.4532, -0.2360, -0.6100, -0.6906, -0.1625, -0.9163, -0.2265, -0.2729, -0.3323, -0.5223, all in Ry/atom.